Record 1
# LiBH4

A relaxed LiBH4 crystal (GGA-PBE, the Materials Project).

Cell lengths 4.073, 4.080, 5.067 Å; angles 90.22, 90.12, 90.00 degrees
Space group P-1 (No. 2)
Inequivalent atoms, fractional coordinates:
Li: 0.248 0.259 0.250 (multiplicity 2)
B: 0.242 0.256 0.749 (multiplicity 2)
H: 0.005 0.750 0.388 (multiplicity 2)
H: 0.256 0.501 0.882 (multiplicity 2)
H: 0.257 0.007 0.888 (multiplicity 2)
H: 0.496 0.249 0.610 (multiplicity 2)

Values from the calculation:
VASP energy in Ry/atom: -0.29232
ΔH_f (0 K) in meV per atom: -403.3
M_tot in μB per atom: 0.000
Density in Mg/m³: 0.86

***

Record 2
# Dy4CoB13

A relaxed Dy4CoB13 crystal (GGA-PBE, the Materials Project).

Cell lengths 7.307, 7.307, 6.895 Å; angles 90.00, 90.00, 90.00 degrees
Space group P4/mnc (No. 128)
Inequivalent atoms, fractional coordinates:
Dy: 0.182 0.315 0.000 (multiplicity 8)
Co: 0.000 0.000 0.500 (multiplicity 2)
B: 0.000 0.000 0.000 (multiplicity 2)
B: 0.039 0.830 0.247 (multiplicity 16)
B: 0.091 0.591 0.250 (multiplicity 8)

Values from the calculation:
VASP energy in Ry/atom: -0.49354
ΔH_f (0 K) in meV per atom: -472.3
M_tot in μB per atom: 0.000
Density in Mg/m³: 7.66